Material: Li3MnCo2O6
Method: DFT, PBE+U
State: optimized geometry

Electronic total energy (eV for the cell shown): -142.8
Relative energy among the computed polymorphs (meV per atom): 26.9
Formation energy (meV/atom): -1808

Cell lengths 3.045, 6.024, 12.460 Å; angles 103.42, 89.47, 91.15 degrees
Atoms (fractional coordinates):
Li 0.000 0.167 0.333
Li 0.500 0.667 0.833
Li 0.999 0.503 0.002
Li 0.499 0.003 0.502
Li 0.501 0.331 0.164
Li 0.001 0.831 0.664
Mn 0.500 0.167 0.833
Mn 0.000 0.667 0.333
Co 0.506 0.500 0.501
Co 0.494 0.834 0.166
Co 0.006 0.000 0.001
Co 0.994 0.334 0.666
O 0.008 0.735 0.492
O 0.508 0.235 0.992
O 0.992 0.598 0.174
O 0.492 0.098 0.674
O 0.002 0.070 0.159
O 0.502 0.570 0.659
O 0.498 0.764 0.008
O 0.998 0.264 0.508
O 0.476 0.903 0.325
O 0.976 0.403 0.825
O 0.524 0.430 0.342
O 0.024 0.930 0.842